BaReH9 PBE optimized geometry; space-group type = P2_1/m (11); energy above the lowest structure with this stoichiometry = 0.015 eV per atom; E (MP2020) = -4.487 eV/atom; volume = 10.58 A^3/atom; energy of formation = -0.405 eV per atom; total magnetization = 0.00 μB/cell
1.0
-1.108 -8.041 -4.968
-0.865 -2.607 4.412
-4.988 -0.270 1.549
H Ba Re
18 2 2
Cartesian
-2.182 -5.975 -0.651 H
-4.153 -8.323 -1.184 H
-5.382 -4.118 3.307 H
-2.530 -8.502 -2.212 H
-2.315 -7.921 -0.335 H
-4.697 -6.645 -1.869 H
-1.578 -6.800 -2.315 H
-4.646 -2.996 1.327 H
-4.430 -2.416 3.205 H
-3.751 -5.465 3.183 H
-3.210 -5.452 -2.190 H
-4.778 -4.943 1.644 H
-3.040 -4.278 1.136 H
-3.446 -7.165 -3.249 H
-3.515 -3.753 4.241 H
-3.921 -6.639 -0.144 H
-2.264 -4.272 2.862 H
-2.808 -2.595 2.176 H
0.000 0.000 0.000 Ba
-0.554 -4.020 -2.484 Ba
-3.861 -3.872 2.571 Re
-3.099 -7.045 -1.578 Re

=====

K2LiCeF6 PBE optimized geometry; space-group type = Fm-3m (225); E (MP2020) = -5.653 eV/atom; volume = 16.81 A^3/atom; energy of formation = -3.498 eV per atom; total magnetization = 1.00 μB/cell
1.0
-0.263 5.755 -2.278
-5.245 2.083 -2.557
-3.353 4.329 2.898
F Li Ce K
6 1 1 2
Cartesian
-4.820 4.168 -1.729 F
-6.426 6.240 -0.341 F
-4.946 6.924 -2.820 F
-3.915 5.243 0.883 F
-4.041 7.999 -0.208 F
-2.435 5.926 -1.596 F
-4.430 6.083 -0.968 Li
0.000 0.000 0.000 Ce
-2.215 3.042 -0.484 K
-6.646 9.125 -1.453 K

=====

Tl2Sb3O9 PBE optimized geometry; space-group type = Pn-3 (201); E (MP2020) = -6.030 eV/atom; volume = 15.75 A^3/atom; energy of formation = -1.627 eV per atom; total magnetization = 3.40 μB/cell
1.0
-4.165 7.919 -3.454
-7.078 -0.930 6.405
4.953 5.330 6.248
O Sb Tl
36 12 8
Cartesian
-2.176 4.886 0.667 O
0.636 8.057 4.234 O
-0.322 5.657 7.731 O
1.799 1.936 2.269 O
-1.508 7.295 9.608 O
-0.969 1.274 3.933 O
-1.512 2.875 -1.254 O
-7.414 8.793 2.626 O
-4.948 4.904 9.521 O
-2.470 9.117 1.628 O
-1.633 3.284 5.853 O
-3.563 2.090 3.462 O
-7.773 4.632 2.297 O
-1.346 8.095 6.868 O
-4.066 7.340 8.573 O
-4.658 9.035 3.345 O
-6.615 8.517 5.253 O
-0.575 6.497 2.274 O
-5.715 5.822 6.925 O
-2.993 11.352 3.160 O
-3.412 2.420 0.727 O
-3.762 3.265 7.644 O
0.418 4.069 1.137 O
0.267 3.740 3.872 O
3.155 3.395 3.979 O
-4.944 4.224 2.331 O
-4.508 -0.592 4.079 O
0.113 10.292 5.765 O
-2.653 5.043 -2.200 O
-6.975 4.355 4.924 O
0.287 9.169 1.732 O
-2.570 -0.338 2.326 O
-1.204 3.220 8.679 O
-2.644 10.240 5.661 O
-6.051 6.652 1.543 O
-8.337 6.497 6.007 O
-3.234 3.808 -0.685 Sb
1.799 3.953 2.562 Sb
0.608 3.998 8.434 Sb
-4.944 2.206 2.037 Sb
0.089 2.352 5.284 Sb
1.200 7.492 2.413 Sb
-8.009 3.181 3.636 Sb
-2.214 2.049 7.368 Sb
-1.011 9.296 0.232 Sb
-2.733 0.402 4.219 Sb
-6.299 4.783 0.914 Sb
-0.412 5.757 0.381 Sb
-2.055 8.124 4.099 Tl
-5.389 6.389 4.143 Tl
-2.407 4.888 10.421 Tl
-0.302 11.285 3.294 Tl
-0.871 1.707 1.274 Tl
-8.999 6.759 3.408 Tl
-2.274 4.453 3.325 Tl
-2.862 5.672 6.831 Tl

=====

Ba2TbSnO6 PBE optimized geometry; space-group type = Pn-3 (201); E (MP2020) = -7.121 eV/atom; volume = 16.16 A^3/atom; energy of formation = -2.904 eV per atom; total magnetization = 4.00 μB/cell
1.0
8.646 0.000 0.000
0.000 8.646 0.000
0.000 0.000 8.646
O Ba Sn Tb
24 8 4 4
Cartesian
8.564 6.378 6.597 O
4.241 2.055 6.372 O
0.082 6.378 2.049 O
6.372 4.405 6.591 O
2.274 4.405 2.055 O
2.049 8.564 2.268 O
6.372 4.241 2.055 O
6.591 2.274 4.241 O
2.274 4.241 6.591 O
6.591 6.372 4.405 O
6.378 2.049 0.082 O
2.268 2.049 8.564 O
6.378 6.597 8.564 O
2.055 2.274 4.405 O
2.268 6.597 0.082 O
0.082 2.268 6.597 O
8.564 2.268 2.049 O
6.597 8.564 6.378 O
2.049 0.082 6.378 O
6.597 0.082 2.268 O
2.055 6.372 4.241 O
4.405 6.591 6.372 O
4.241 6.591 2.274 O
4.405 2.055 2.274 O
0.000 4.323 4.323 Ba
0.000 0.000 4.323 Ba
4.323 4.323 4.323 Ba
4.323 0.000 0.000 Ba
4.323 0.000 4.323 Ba
0.000 4.323 0.000 Ba
0.000 0.000 0.000 Ba
4.323 4.323 0.000 Ba
2.162 6.485 2.162 Sn
6.485 6.485 6.485 Sn
6.485 2.162 2.162 Sn
2.162 2.162 6.485 Sn
2.162 2.162 2.162 Tb
2.162 6.485 6.485 Tb
6.485 2.162 6.485 Tb
6.485 6.485 2.162 Tb

=====

Ag7Pb3O9 PBE optimized geometry; space-group type = P-1 (2); E (MP2020) = -4.790 eV/atom; volume = 16.16 A^3/atom; energy of formation = -0.816 eV per atom; total magnetization = 0.00 μB/cell
1.0
-6.295 1.069 6.151
0.867 -8.724 1.435
12.407 4.776 8.799
O Ag Pb
36 28 12
Cartesian
0.606 -3.788 3.220 O
4.452 3.018 12.704 O
5.657 -0.940 4.890 O
5.427 -3.926 10.635 O
9.930 -3.990 10.791 O
-1.931 -5.856 3.545 O
-1.165 -2.813 9.513 O
5.295 -5.153 6.352 O
7.535 -3.558 13.128 O
6.374 0.909 13.164 O
6.803 2.581 10.372 O
-2.950 1.111 5.593 O
10.260 0.280 9.359 O
-0.555 0.679 3.257 O
1.685 2.274 10.032 O
10.393 -2.290 8.060 O
7.990 -1.880 10.360 O
8.144 -0.066 6.871 O
12.513 -1.971 10.481 O
3.101 -2.926 5.195 O
-3.414 -0.589 8.325 O
-0.492 1.950 7.591 O
4.029 1.866 7.682 O
8.910 2.976 12.840 O
1.751 -0.300 8.697 O
5.229 -2.579 7.688 O
-5.533 -0.909 5.903 O
3.879 0.047 11.189 O
2.950 -4.745 8.702 O
-3.281 -3.159 7.026 O
1.553 1.047 5.749 O
2.528 -5.897 3.680 O
-1.010 -0.999 6.025 O
7.472 -4.830 8.793 O
0.177 -5.460 6.012 O
1.323 -1.940 11.495 O
11.887 1.728 10.135 Ag
8.781 -3.733 7.219 Ag
6.845 -1.124 8.480 Ag
-2.216 -0.798 2.479 Ag
1.815 -4.005 6.807 Ag
-0.391 -4.798 9.295 Ag
8.547 1.440 9.885 Ag
7.371 1.918 7.090 Ag
7.199 -0.487 11.777 Ag
3.222 3.725 10.820 Ag
-1.801 0.854 9.165 Ag
5.164 1.126 9.577 Ag
-1.567 -4.319 6.499 Ag
9.195 -2.081 13.906 Ag
-2.914 -6.219 8.431 Ag
-0.219 -2.393 4.607 Ag
0.000 0.000 0.000 Ag
2.327 -0.940 5.463 Ag
2.137 -3.363 10.120 Ag
-4.907 -4.607 6.249 Ag
4.843 0.484 6.264 Ag
0.135 -1.755 7.904 Ag
9.894 3.340 7.953 Ag
5.811 -2.399 13.661 Ag
3.490 -1.440 8.192 Ag
1.169 -0.481 2.723 Ag
4.653 -1.939 10.921 Ag
3.758 -6.605 5.564 Ag
5.358 -3.127 5.485 Pb
1.757 1.828 7.883 Pb
10.253 -1.795 10.278 Pb
7.668 -4.057 10.919 Pb
6.726 3.072 12.581 Pb
-0.688 1.177 5.465 Pb
5.223 -4.707 8.501 Pb
0.253 -5.951 3.804 Pb
4.104 0.855 13.296 Pb
1.621 0.247 10.899 Pb
2.875 -3.734 3.088 Pb
-3.273 -1.084 6.106 Pb

=====

NbO2 PBE optimized geometry; space-group type = Pbca (61); E (MP2020) = -9.491 eV/atom; volume = 11.24 A^3/atom; energy of formation = -2.826 eV per atom; total magnetization = 0.07 μB/cell
1.0
-1.294 3.979 2.839
-5.177 -1.033 -0.912
-0.257 -5.835 8.061
O Nb
16 8
Cartesian
-2.205 0.751 0.858 O
-4.523 -3.639 9.130 O
-2.965 0.188 5.803 O
-1.366 -1.973 5.059 O
-5.363 -0.915 4.929 O
-5.671 0.777 3.015 O
-1.686 -1.258 7.815 O
-3.763 -3.076 4.184 O
-3.101 1.351 3.512 O
-2.125 -2.536 10.005 O
-3.627 -4.240 6.475 O
-4.256 -1.832 7.318 O
-4.603 -0.352 -0.017 O
-2.473 -1.056 2.670 O
-5.042 -1.630 2.173 O
-1.057 -3.665 6.973 O
-0.862 -0.768 1.171 Nb
-2.770 -3.163 8.161 Nb
-1.564 -0.031 4.320 Nb
-3.958 0.275 1.827 Nb
-5.866 -2.120 8.817 Nb
-2.068 -3.901 5.012 Nb
-5.164 -2.857 5.668 Nb
-4.660 1.013 4.976 Nb